Entry 1:
Compound: Na3FeS3O15
Source: the Materials Project database
Functional: GGA+U
Structure: optimized geometry

Cell and atoms, written as POSCAR:
```
Na3FeS3O15
1.0
-0.001 0.001 -8.812
-7.731 -13.397 0.001
-7.740 13.402 -0.002
Na Fe S O
18 6 18 90
direct
0.097 0.965 0.206 Na
0.098 0.794 0.759 Na
0.098 0.241 0.036 Na
0.903 0.035 0.794 Na
0.902 0.206 0.241 Na
0.902 0.759 0.964 Na
0.200 0.691 0.111 Na
0.199 0.889 0.580 Na
0.199 0.421 0.309 Na
0.800 0.309 0.889 Na
0.801 0.111 0.420 Na
0.801 0.579 0.691 Na
0.426 0.910 0.359 Na
0.427 0.640 0.551 Na
0.426 0.449 0.090 Na
0.574 0.090 0.641 Na
0.573 0.360 0.449 Na
0.574 0.551 0.910 Na
0.000 0.000 0.000 Fe
0.500 0.000 0.000 Fe
0.311 0.667 0.333 Fe
0.689 0.333 0.667 Fe
0.810 0.667 0.333 Fe
0.190 0.333 0.667 Fe
0.247 0.147 0.169 S
0.247 0.831 0.978 S
0.247 0.022 0.853 S
0.753 0.853 0.831 S
0.753 0.169 0.022 S
0.753 0.978 0.147 S
0.552 0.821 0.493 S
0.552 0.507 0.328 S
0.552 0.672 0.179 S
0.448 0.179 0.507 S
0.448 0.493 0.672 S
0.448 0.328 0.821 S
0.929 0.490 0.826 S
0.930 0.174 0.664 S
0.929 0.336 0.510 S
0.071 0.510 0.174 S
0.070 0.826 0.336 S
0.071 0.664 0.490 S
0.126 0.064 0.127 O
0.126 0.873 0.937 O
0.126 0.063 0.936 O
0.874 0.936 0.873 O
0.874 0.127 0.063 O
0.874 0.937 0.064 O
0.368 0.119 0.092 O
0.368 0.908 0.027 O
0.368 0.973 0.881 O
0.632 0.881 0.908 O
0.632 0.092 0.973 O
0.632 0.027 0.119 O
0.171 0.239 0.185 O
0.171 0.815 0.055 O
0.171 0.946 0.761 O
0.829 0.761 0.815 O
0.829 0.185 0.945 O
0.829 0.054 0.239 O
0.305 0.156 0.262 O
0.304 0.738 0.894 O
0.305 0.106 0.845 O
0.695 0.844 0.738 O
0.696 0.262 0.106 O
0.695 0.894 0.155 O
0.442 0.789 0.405 O
0.442 0.595 0.384 O
0.442 0.616 0.211 O
0.558 0.211 0.595 O
0.558 0.405 0.616 O
0.558 0.384 0.789 O
0.684 0.751 0.458 O
0.684 0.542 0.293 O
0.684 0.707 0.249 O
0.316 0.249 0.542 O
0.316 0.458 0.707 O
0.316 0.293 0.751 O
0.602 0.923 0.520 O
0.602 0.480 0.403 O
0.601 0.597 0.078 O
0.398 0.077 0.480 O
0.398 0.520 0.597 O
0.399 0.403 0.922 O
0.471 0.817 0.573 O
0.471 0.427 0.244 O
0.471 0.756 0.183 O
0.529 0.183 0.427 O
0.529 0.573 0.756 O
0.529 0.244 0.817 O
0.818 0.457 0.739 O
0.818 0.261 0.718 O
0.818 0.282 0.543 O
0.182 0.543 0.261 O
0.182 0.739 0.282 O
0.182 0.718 0.457 O
0.061 0.420 0.791 O
0.062 0.209 0.630 O
0.062 0.370 0.580 O
0.939 0.580 0.209 O
0.938 0.791 0.370 O
0.938 0.630 0.420 O
0.976 0.593 0.854 O
0.976 0.146 0.739 O
0.976 0.261 0.407 O
0.024 0.407 0.146 O
0.024 0.854 0.261 O
0.024 0.739 0.593 O
0.851 0.487 0.908 O
0.851 0.092 0.579 O
0.851 0.421 0.514 O
0.149 0.513 0.092 O
0.149 0.908 0.421 O
0.149 0.579 0.486 O
0.074 0.069 0.387 O
0.073 0.614 0.683 O
0.073 0.317 0.930 O
0.926 0.931 0.613 O
0.927 0.386 0.317 O
0.927 0.683 0.070 O
0.686 0.949 0.354 O
0.686 0.647 0.596 O
0.685 0.403 0.051 O
0.314 0.051 0.646 O
0.314 0.353 0.404 O
0.315 0.597 0.949 O
0.357 0.983 0.255 O
0.358 0.745 0.727 O
0.358 0.271 0.016 O
0.643 0.017 0.745 O
0.642 0.255 0.273 O
0.642 0.729 0.984 O
```

Output
For the calculated formation energy, the calculation gives -1.46 eV/atom. As for the energy: -0.3961 Ry per atom.



Entry 2:
Compound: Na3FeS3O12
Source: the Materials Project database
Functional: GGA+U
Structure: optimized geometry

Cell and atoms, written as POSCAR:
```
Na3FeS3O12
1.0
5.014 -6.858 0.000
5.014 6.858 0.000
-4.364 0.000 7.288
Na Fe S O
6 2 6 24
direct
0.616 0.141 0.767 Na
0.767 0.616 0.141 Na
0.141 0.767 0.616 Na
0.384 0.859 0.233 Na
0.233 0.384 0.859 Na
0.859 0.233 0.384 Na
0.000 0.000 0.000 Fe
0.500 0.500 0.500 Fe
0.901 0.552 0.767 S
0.767 0.901 0.552 S
0.552 0.767 0.901 S
0.099 0.448 0.233 S
0.233 0.099 0.448 S
0.448 0.233 0.099 S
0.757 0.520 0.590 O
0.590 0.757 0.520 O
0.520 0.590 0.757 O
0.243 0.480 0.410 O
0.410 0.243 0.480 O
0.480 0.410 0.243 O
0.817 0.459 0.861 O
0.861 0.817 0.459 O
0.459 0.861 0.817 O
0.183 0.541 0.139 O
0.139 0.183 0.541 O
0.541 0.139 0.183 O
0.032 0.491 0.717 O
0.717 0.032 0.491 O
0.491 0.717 0.032 O
0.968 0.509 0.283 O
0.283 0.968 0.509 O
0.509 0.283 0.968 O
0.006 0.756 0.887 O
0.887 0.006 0.756 O
0.756 0.887 0.006 O
0.994 0.244 0.113 O
0.113 0.994 0.244 O
0.244 0.113 0.994 O
```

Output
For the calculated formation energy, the calculation gives -2.05 eV/atom. As for the energy: -0.4358 Ry per atom.



Entry 3:
Compound: Na2Fe3SbO8
Source: the Materials Project database
Functional: GGA+U
Structure: optimized geometry

Cell and atoms, written as POSCAR:
```
Na2Fe3SbO8
1.0
-0.972 2.626 -1.228
-8.943 -2.347 2.061
0.959 4.920 9.765
Na Fe Sb O
4 6 2 16
direct
0.000 0.018 0.846 Na
0.000 0.504 0.642 Na
0.500 0.496 0.142 Na
0.500 0.982 0.346 Na
0.000 0.681 0.401 Fe
0.000 0.165 0.100 Fe
0.500 0.835 0.600 Fe
0.500 0.319 0.901 Fe
0.000 0.181 0.626 Fe
0.500 0.819 0.126 Fe
0.000 0.694 0.886 Sb
0.500 0.306 0.386 Sb
0.000 0.771 0.719 O
0.000 0.281 0.782 O
0.500 0.719 0.282 O
0.500 0.229 0.219 O
0.000 0.673 0.066 O
0.000 0.168 0.425 O
0.500 0.832 0.925 O
0.500 0.327 0.566 O
0.000 0.444 0.349 O
0.000 0.952 0.156 O
0.500 0.048 0.656 O
0.500 0.556 0.849 O
0.000 0.363 0.017 O
0.000 0.870 0.484 O
0.500 0.130 0.984 O
0.500 0.637 0.517 O
```

Output
For the calculated formation energy, the calculation gives -1.80 eV/atom. As for the energy: -0.4446 Ry per atom.



Entry 4:
Compound: NaFeSe2O8
Source: the Materials Project database
Functional: GGA+U
Structure: optimized geometry

Cell and atoms, written as POSCAR:
```
NaFeSe2O8
1.0
5.022 0.004 0.156
1.949 4.594 7.475
-2.012 -4.636 7.162
Na Fe Se O
2 2 4 16
direct
0.000 0.250 0.250 Na
0.000 0.750 0.750 Na
0.000 0.500 0.500 Fe
0.000 0.000 0.000 Fe
0.362 0.570 0.207 Se
0.362 0.070 0.707 Se
0.638 0.430 0.793 Se
0.638 0.930 0.293 Se
0.284 0.430 0.146 O
0.284 0.930 0.646 O
0.716 0.570 0.854 O
0.716 0.070 0.354 O
0.765 0.403 0.638 O
0.765 0.903 0.138 O
0.235 0.597 0.362 O
0.235 0.097 0.862 O
0.767 0.238 0.967 O
0.767 0.738 0.467 O
0.233 0.762 0.033 O
0.233 0.262 0.533 O
0.272 0.486 0.719 O
0.272 0.986 0.219 O
0.728 0.514 0.281 O
0.728 0.014 0.781 O
```

Output
For the calculated formation energy, the calculation gives -1.42 eV/atom. As for the energy: -0.4025 Ry per atom.



Entry 5:
Compound: Na2FeSi6O15
Source: the Materials Project database
Functional: GGA+U
Structure: optimized geometry

Cell and atoms, written as POSCAR:
```
Na2FeSi6O15
1.0
-7.198 -3.872 -7.835
3.271 -9.554 5.120
-7.721 0.915 6.640
Na Fe Si O
8 4 24 60
direct
0.026 0.474 0.250 Na
0.474 0.026 0.750 Na
0.584 0.416 0.249 Na
0.084 0.916 0.251 Na
0.416 0.584 0.751 Na
0.916 0.084 0.749 Na
0.526 0.974 0.250 Na
0.974 0.526 0.750 Na
0.334 0.166 0.250 Fe
0.166 0.334 0.750 Fe
0.834 0.666 0.250 Fe
0.666 0.834 0.750 Fe
0.042 0.186 0.307 Si
0.186 0.042 0.693 Si
0.314 0.458 0.193 Si
0.458 0.314 0.807 Si
0.076 0.698 0.460 Si
0.576 0.198 0.040 Si
0.198 0.576 0.960 Si
0.698 0.076 0.540 Si
0.254 0.519 0.486 Si
0.519 0.254 0.514 Si
0.754 0.019 0.014 Si
0.019 0.754 0.986 Si
0.481 0.746 0.486 Si
0.246 0.981 0.986 Si
0.981 0.246 0.014 Si
0.746 0.481 0.514 Si
0.302 0.924 0.460 Si
0.924 0.302 0.540 Si
0.424 0.802 0.960 Si
0.802 0.424 0.040 Si
0.686 0.542 0.807 Si
0.542 0.686 0.193 Si
0.814 0.958 0.307 Si
0.958 0.814 0.693 Si
0.028 0.253 0.166 O
0.253 0.028 0.834 O
0.004 0.282 0.412 O
0.282 0.004 0.588 O
0.155 0.171 0.670 O
0.171 0.155 0.330 O
0.084 0.248 0.907 O
0.248 0.084 0.093 O
0.252 0.416 0.593 O
0.416 0.252 0.407 O
0.329 0.345 0.830 O
0.345 0.329 0.170 O
0.501 0.164 0.173 O
0.001 0.664 0.327 O
0.164 0.501 0.827 O
0.664 0.001 0.673 O
0.218 0.496 0.088 O
0.496 0.218 0.912 O
0.472 0.247 0.666 O
0.247 0.472 0.334 O
0.140 0.586 0.503 O
0.086 0.640 0.003 O
0.640 0.086 0.997 O
0.586 0.140 0.497 O
0.678 0.322 0.066 O
0.121 0.879 0.011 O
0.178 0.822 0.434 O
0.057 0.943 0.690 O
0.443 0.557 0.190 O
0.322 0.678 0.934 O
0.943 0.057 0.310 O
0.379 0.621 0.511 O
0.557 0.443 0.810 O
0.879 0.121 0.989 O
0.621 0.379 0.489 O
0.822 0.178 0.566 O
0.414 0.860 0.503 O
0.360 0.914 0.003 O
0.860 0.414 0.497 O
0.914 0.360 0.997 O
0.528 0.753 0.334 O
0.753 0.528 0.666 O
0.504 0.782 0.088 O
0.782 0.504 0.912 O
0.336 0.999 0.327 O
0.499 0.836 0.827 O
0.999 0.336 0.673 O
0.836 0.499 0.173 O
0.671 0.655 0.170 O
0.655 0.671 0.830 O
0.584 0.748 0.593 O
0.748 0.584 0.407 O
0.752 0.916 0.907 O
0.916 0.752 0.093 O
0.829 0.845 0.670 O
0.845 0.829 0.330 O
0.718 0.996 0.412 O
0.996 0.718 0.588 O
0.747 0.972 0.166 O
0.972 0.747 0.834 O
```

Output
For the calculated formation energy, the calculation gives -2.84 eV/atom. As for the energy: -0.5311 Ry per atom.



Entry 6:
Compound: Na3Fe5Si10O30
Source: the Materials Project database
Functional: GGA+U
Structure: optimized geometry

Cell and atoms, written as POSCAR:
```
Na3Fe5Si10O30
1.0
-4.325 4.955 -0.615
-2.732 -2.421 -6.526
-16.905 -11.605 9.425
Na Fe Si O
6 10 20 60
direct
0.814 0.923 0.891 Na
0.014 0.323 0.691 Na
0.215 0.723 0.491 Na
0.414 0.123 0.292 Na
0.186 0.076 0.109 Na
0.615 0.523 0.091 Na
0.134 0.165 0.968 Fe
0.072 0.243 0.830 Fe
0.334 0.563 0.771 Fe
0.273 0.642 0.631 Fe
0.534 0.963 0.571 Fe
0.473 0.043 0.431 Fe
0.735 0.363 0.371 Fe
0.673 0.440 0.231 Fe
0.930 0.758 0.173 Fe
0.871 0.842 0.030 Fe
0.066 0.923 0.728 Si
0.333 0.874 0.872 Si
0.627 0.221 0.992 Si
0.865 0.524 0.928 Si
0.826 0.621 0.792 Si
0.027 0.021 0.592 Si
0.573 0.181 0.806 Si
0.266 0.323 0.528 Si
0.534 0.274 0.672 Si
0.227 0.421 0.393 Si
0.773 0.581 0.607 Si
0.467 0.723 0.329 Si
0.734 0.675 0.472 Si
0.428 0.817 0.193 Si
0.973 0.982 0.407 Si
0.172 0.382 0.208 Si
0.131 0.477 0.072 Si
0.373 0.781 0.007 Si
0.670 0.124 0.128 Si
0.932 0.074 0.273 Si
0.045 0.368 0.910 O
0.425 0.783 0.934 O
0.262 0.718 0.834 O
0.026 0.479 0.779 O
0.518 0.979 0.835 O
0.245 0.766 0.710 O
0.147 0.027 0.889 O
0.425 0.173 0.961 O
0.685 0.425 0.969 O
0.226 0.878 0.579 O
0.369 0.320 0.818 O
0.130 0.090 0.763 O
0.931 0.691 0.963 O
0.782 0.623 0.865 O
0.347 0.427 0.689 O
0.625 0.572 0.762 O
0.029 0.984 0.334 O
0.827 0.079 0.979 O
0.083 0.225 0.568 O
0.883 0.825 0.768 O
0.569 0.720 0.618 O
0.330 0.490 0.563 O
0.778 0.216 0.839 O
0.185 0.423 0.465 O
0.627 0.183 0.734 O
0.547 0.827 0.489 O
0.825 0.972 0.562 O
0.025 0.372 0.362 O
0.462 0.118 0.634 O
0.284 0.625 0.368 O
0.718 0.379 0.635 O
0.530 0.891 0.364 O
0.179 0.015 0.439 O
0.978 0.616 0.639 O
0.445 0.166 0.511 O
0.387 0.823 0.265 O
0.826 0.582 0.534 O
0.223 0.783 0.162 O
0.662 0.519 0.435 O
0.426 0.278 0.379 O
0.116 0.176 0.234 O
0.918 0.779 0.435 O
0.173 0.922 0.020 O
0.985 0.022 0.665 O
0.378 0.415 0.239 O
0.646 0.567 0.311 O
0.220 0.380 0.135 O
0.858 0.918 0.235 O
0.070 0.310 0.037 O
0.627 0.676 0.179 O
0.770 0.120 0.418 O
0.317 0.579 0.035 O
0.577 0.817 0.039 O
0.854 0.971 0.111 O
0.748 0.227 0.290 O
0.483 0.022 0.166 O
0.970 0.520 0.220 O
0.732 0.290 0.163 O
0.579 0.218 0.065 O
0.946 0.628 0.089 O
```

Output
For the calculated formation energy, the calculation gives -2.65 eV/atom. As for the energy: -0.5271 Ry per atom.